# 1
Compound: TbPO4
Source: Materials Project
Functional: PBE
Structure: relaxed

The structure belongs to space group Pbcm (No. 57); the cell edges are 4.969, 6.934 and 6.853 Å and the angles 90.00°, 90.00° and 90.00°. Symmetry generates all atoms from Tb at (0.013, 0.191, 0.250), P at (0.500, 0.000, 0.000), O at (0.208, 0.575, 0.564), O at (0.353, 0.250, 0.000) and O at (0.382, 0.524, 0.250).

The value obtained for the formation energy is -3.012 eV/atom. The energy is -7.53 eV per atom.

=====

# 2
Compound: SrCaLaSbO6
Source: Materials Project
Functional: PBE
Structure: relaxed

The structure belongs to space group F-43m (No. 216); the cell edges are 8.603, 8.603 and 8.603 Å and the angles 90.00°, 90.00° and 90.00°. Symmetry generates all atoms from Sr at (0.000, 0.000, 0.000), Ca at (0.000, 0.000, 0.500), La at (0.250, 0.250, 0.250), Sb at (0.250, 0.250, 0.750) and O at (0.018, 0.250, 0.750).

The value obtained for the formation energy is -2.874 eV/atom. The energy is -6.71 eV per atom. The calculation puts the polymorph energy (0 for the lowest one) at 0.166 eV/atom.